{
  "formula": "Rb2LaCl5",
  "functional": "meta-GGA r2SCAN",
  "state": "relaxed",
  "m_tot_mub_per_cell": 0.00,
  "crystal_system": "orthorhombic",
  "e_form_kj_per_mol_atoms": -239.46,
  "spacegroup": "Pnma",
  "lattice": [[-5.162, -1.588, 6.222], [-0.355, -8.697, -2.514], [10.283, -2.687, 7.846]],
  "species": ["Rb", "Rb", "Rb", "Rb", "Rb", "Rb", "Rb", "Rb", "La", "La", "La", "La", "Cl", "Cl", "Cl", "Cl", "Cl", "Cl", "Cl", "Cl", "Cl", "Cl", "Cl", "Cl", "Cl", "Cl", "Cl", "Cl", "Cl", "Cl", "Cl", "Cl"],
  "frac_coords": [[0.555, 0.494, 0.829], [0.445, 0.506, 0.171], [0.055, 0.506, 0.671], [0.445, 0.994, 0.171], [0.945, 0.494, 0.329], [0.555, 0.006, 0.829], [0.945, 0.006, 0.329], [0.055, 0.994, 0.671], [0.572, 0.750, 0.505], [0.428, 0.250, 0.495], [0.072, 0.250, 0.995], [0.928, 0.750, 0.005], [0.841, 0.750, 0.798], [0.159, 0.250, 0.202], [0.341, 0.250, 0.702], [0.659, 0.750, 0.298], [0.376, 0.750, 0.679], [0.624, 0.250, 0.321], [0.876, 0.250, 0.821], [0.124, 0.750, 0.179], [0.916, 0.750, 0.508], [0.084, 0.250, 0.492], [0.416, 0.250, 0.992], [0.584, 0.750, 0.008], [0.664, 0.042, 0.575], [0.336, 0.958, 0.425], [0.164, 0.958, 0.925], [0.336, 0.542, 0.425], [0.836, 0.042, 0.075], [0.664, 0.458, 0.575], [0.836, 0.458, 0.075], [0.164, 0.542, 0.925]]
}